Record 1
Pr3Hg | GGA-PBE | optimized geometry

Results
Its space-group type is No. 139. Its total magnetization is 0.00 μB per formula unit. The total DFT energy (no corrections) is -0.281 Ry per atom. The formation enthalpy at 0 K comes out at -0.63 eV/f.u.

Lattice parameters (Å, degrees): 6.2725 6.2725 6.2725 134.38 134.38 66.49
Closest atoms and distances in Å follow each position.
Sites, in units of the cell vectors:
Hg1 0.0000 0.0000 0.0000  12 Pr 3.44-3.58
Pr1 0.7500 0.2500 0.5000  8 Pr 3.44-3.58, 4 Hg 3.58
Pr2 0.5000 0.5000 0.0000  4 Hg 3.44, 8 Pr 3.58
Pr3 0.2500 0.7500 0.5000  8 Pr 3.44-3.58, 4 Hg 3.58

=====

Record 2
Fe2CuS3 | GGA-PBE | optimized geometry

Results
The excess energy over the best structure of this formula in the dataset is 20.7 kJ/mol of formula units. Its space-group type is No. 156. The total DFT energy (no corrections) is -0.426 Ry per atom. The formation enthalpy at 0 K comes out at -2.81 eV/f.u.

Lattice parameters (Å, degrees): 3.6983 3.6983 9.0592 90.00 90.00 120.00
Closest atoms and distances in Å follow each position.
Sites, in units of the cell vectors:
Cu1 0.3333 0.6667 0.9195  4 S 2.26-2.30
S1 0.0000 0.0000 0.0021  1 Fe 2.21, 3 Cu 2.26
S2 0.6667 0.3333 0.3336  4 Fe 2.26-2.28
S3 0.3333 0.6667 0.6656  3 Fe 2.26, 1 Cu 2.30
Fe1 0.6667 0.3333 0.5833  4 S 2.26
Fe2 0.0000 0.0000 0.2459  4 S 2.21-2.28

=====

Record 3
TiH | GGA-PBE | optimized geometry

Results
Its space-group type is No. 194. Its total magnetization is 0.00 μB per formula unit. The total DFT energy (no corrections) is -0.425 Ry per atom. The formation enthalpy at 0 K comes out at -0.45 eV/f.u.

Lattice parameters (Å, degrees): 2.8776 2.8776 5.2633 90.00 90.00 120.00
Closest atoms and distances in Å follow each position.
Sites, in units of the cell vectors:
H1 0.3333 0.6667 0.2500  6 Ti 2.12
H2 0.6667 0.3333 0.7500  6 Ti 2.12
Ti1 0.0000 0.0000 0.0000  6 H 2.12
Ti2 0.0000 0.0000 0.5000  6 H 2.12

=====

Record 4
Na2AlZnPS2O12 | GGA-PBE | optimized geometry

Results
Its space-group type is No. 9. Its total magnetization is 0.00 μB per formula unit. The total DFT energy (no corrections) is -0.451 Ry per atom. The formation enthalpy at 0 K comes out at -44.04 eV/f.u.

Lattice parameters (Å, degrees): 8.6554 8.6736 21.8825 90.17 90.00 119.93
Closest atoms and distances in Å follow each position.
Sites, in units of the cell vectors:
O1 0.9695 0.1601 0.5880  1 S 1.52
O2 0.4699 0.3578 0.1400  1 S 1.46
O3 0.8584 0.4907 0.4222  1 S 1.49
O4 0.8373 0.2944 0.5296  1 S 1.51
O5 0.3450 0.4836 0.0747  1 S 1.46
O6 0.4811 0.1557 0.2445  1 P 1.52
O7 0.8476 0.8176 0.5896  1 P 1.59
O8 0.0393 0.8243 0.6953  1 S 1.50
O9 0.8300 0.5262 0.0301  1 P 1.56
O10 0.1324 0.4932 0.8612  1 S 1.49
O11 0.1879 0.0375 0.5903  1 S 1.49
O12 0.6398 0.1187 0.1357  1 S 1.47
O13 0.8879 0.3578 0.6400  1 S 1.46
O14 0.3148 0.8739 0.9808  1 P 1.53
O15 0.8054 0.0186 0.8114  1 P 1.53
O16 0.8180 0.9978 0.4112  1 P 1.52
O17 0.4571 0.2944 0.0296  1 S 1.51
O18 0.6745 0.1557 0.7445  1 P 1.52
O19 0.5337 0.6839 0.9700  1 S 1.46
O20 0.2132 0.0186 0.3114  1 P 1.53
O21 0.1738 0.2021 0.6947  1 S 1.50
O22 0.1788 0.4758 0.2529  1 S 1.51
O23 0.1386 0.4836 0.5747  1 S 1.46
O24 0.1402 0.4516 0.9723  1 S 1.46
O25 0.1664 0.9627 0.1953  1 P 1.59
O26 0.9770 0.7875 0.8056  1 S 1.47
O27 0.6757 0.5316 0.2444  1 S 1.48
O28 0.5591 0.8739 0.4808  1 P 1.53
O29 0.1798 0.9978 0.9112  1 P 1.52
O30 0.1778 0.7000 0.7569  1 S 1.50
O31 0.3114 0.4516 0.4723  1 S 1.46
O32 0.5118 0.6300 0.8588  1 S 1.51
O33 0.9700 0.8176 0.0896  1 P 1.59
O34 0.4789 0.1187 0.6357  1 S 1.47
O35 0.3306 0.8586 0.5767  1 S 1.48
O36 0.5166 0.8176 0.7564  1 P 1.59
O37 0.0143 0.8130 0.4122  1 S 1.48
O38 0.0283 0.2021 0.1947  1 S 1.50
O39 0.5140 0.6566 0.5815  1 P 1.55
O40 0.8105 0.7875 0.3056  1 S 1.47
O41 0.8496 0.0375 0.0903  1 S 1.49
O42 0.1502 0.6839 0.4700  1 S 1.46
O43 0.8559 0.5316 0.7444  1 S 1.48
O44 0.4972 0.8733 0.3661  1 P 1.58
O45 0.8749 0.5281 0.1465  1 P 1.53
O46 0.6532 0.5281 0.6465  1 P 1.53
O47 0.7850 0.8243 0.1953  1 S 1.50
O48 0.4700 0.3281 0.7440  1 S 1.49
O49 0.2970 0.4758 0.7529  1 S 1.51
O50 0.1426 0.6566 0.0815  1 P 1.55
O51 0.8581 0.3281 0.2440  1 S 1.49
O52 0.5200 0.1567 0.9249  1 P 1.59
O53 0.7031 0.1490 0.0255  1 S 1.51
O54 0.1906 0.1601 0.0880  1 S 1.52
O55 0.6323 0.4907 0.9222  1 S 1.49
O56 0.6367 0.1567 0.4249  1 P 1.59
O57 0.3761 0.8733 0.8661  1 P 1.58
O58 0.3608 0.4932 0.3612  1 S 1.49
O59 0.9833 0.1973 0.3059  1 S 1.46
O60 0.2140 0.1973 0.8059  1 S 1.46
O61 0.6962 0.5262 0.5301  1 P 1.56
O62 0.0041 0.1968 0.9102  1 S 1.48
O63 0.7963 0.9627 0.6953  1 P 1.59
O64 0.5222 0.7000 0.2569  1 S 1.50
O65 0.1182 0.6300 0.3588  1 S 1.51
O66 0.7987 0.8130 0.9122  1 S 1.48
O67 0.5280 0.8586 0.0767  1 S 1.48
O68 0.4459 0.1490 0.5255  1 S 1.51
O69 0.8594 0.3712 0.9196  1 S 1.52
O70 0.5118 0.3712 0.4196  1 S 1.52
O71 0.1926 0.1968 0.4102  1 S 1.48
O72 0.3010 0.8176 0.2564  1 P 1.59
Al1 0.3464 0.6847 0.3156  5 O 1.86-2.02
Al2 0.6675 0.3416 0.9816  5 O 1.85-2.06
Al3 0.9973 0.9911 0.1489  6 O 1.90-2.07
Al4 0.9937 0.9911 0.6489  6 O 1.90-2.07
Al5 0.6741 0.3416 0.4816  5 O 1.85-2.06
Al6 0.3383 0.6847 0.8156  5 O 1.86-2.02
Zn1 0.6594 0.3263 0.1830  6 O 1.98-2.17
Zn2 0.3488 0.6660 0.5164  6 O 1.97-2.19
Zn3 0.9958 0.0047 0.3500  5 O 1.98-2.14
Zn4 0.0089 0.0047 0.8500  5 O 1.98-2.14
Zn5 0.3172 0.6660 0.0164  6 O 1.97-2.19
Zn6 0.6669 0.3263 0.6830  6 O 1.98-2.17
Na1 0.6946 0.0241 0.9104  5 O 2.33-2.58
Na2 0.6593 0.3173 0.8295  6 O 2.37-2.60
Na3 0.6580 0.3173 0.3295  6 O 2.37-2.60
Na4 0.3368 0.6544 0.1631  6 O 2.46-2.59
Na5 0.6577 0.9631 0.5802  5 O 2.30-2.53
Na6 0.9838 0.9915 0.4964  6 O 2.37-2.61
Na7 0.3295 0.0241 0.4104  5 O 2.33-2.58
Na8 0.3176 0.6544 0.6631  6 O 2.46-2.59
Na9 0.3054 0.9631 0.0802  5 O 2.30-2.53
Na10 0.9956 0.6370 0.2428  5 O 2.32-2.59
Na11 0.6414 0.6370 0.7428  5 O 2.32-2.59
Na12 0.0078 0.9915 0.9964  6 O 2.37-2.61
P1 0.6754 0.6255 0.5863  4 O 1.53-1.59
P2 0.9500 0.6255 0.0863  4 O 1.53-1.59
P3 0.3395 0.9717 0.9202  4 O 1.52-1.59
P4 0.2938 0.9970 0.2520  4 O 1.52-1.59
P5 0.7032 0.9970 0.7520  4 O 1.52-1.59
P6 0.6322 0.9717 0.4202  4 O 1.52-1.59
S1 0.2851 0.2961 0.7494  4 O 1.46-1.51
S2 0.3616 0.0423 0.5824  4 O 1.47-1.51
S3 0.6179 0.6546 0.9167  4 O 1.46-1.51
S4 0.0118 0.7119 0.7508  4 O 1.47-1.50
S5 0.7001 0.7119 0.2508  4 O 1.47-1.50
S6 0.0367 0.6546 0.4167  4 O 1.46-1.51
S7 0.3698 0.3304 0.0835  4 O 1.46-1.52
S8 0.9606 0.3304 0.5835  4 O 1.46-1.52
S9 0.0394 0.3820 0.9157  4 O 1.46-1.52
S10 0.3426 0.3820 0.4157  4 O 1.46-1.52
S11 0.0109 0.2961 0.2494  4 O 1.46-1.51
S12 0.6807 0.0423 0.0824  4 O 1.47-1.51